Entry from Materials Project: an optimized crystal structure of Ba2ErReO6 (PBE-GGA).

Cell: 5.9652 5.9517 10.3394 Å, 90.00 125.19 90.00°
Closest atoms and distances in Å follow each position.
Positions (direct):
Ba 0.2502 0.0042 0.2498  12 O 2.87-3.12
Ba 0.2502 0.4958 0.7498  12 O 2.87-3.12
Ba 0.7498 0.5042 0.2502  12 O 2.87-3.12
Ba 0.7498 0.9958 0.7502  12 O 2.87-3.12
Er 0.0000 0.0000 0.5000  6 O 2.22-2.23
Er 0.0000 0.5000 0.0000  6 O 2.22-2.23
Re 0.5000 0.0000 0.0000  6 O 1.99-2.00
Re 0.5000 0.5000 0.5000  6 O 1.99-2.00
O 0.2437 0.0003 0.7637  1 Re 2.00, 1 Er 2.23
O 0.2437 0.4997 0.2637  1 Re 2.00, 1 Er 2.23
O 0.2643 0.7260 0.5100  1 Re 1.99, 1 Er 2.23
O 0.2643 0.7740 0.0100  1 Re 1.99, 1 Er 2.23
O 0.2839 0.2466 0.0102  1 Re 2.00, 1 Er 2.22
O 0.2839 0.2534 0.5102  1 Re 2.00, 1 Er 2.22
O 0.7161 0.7466 0.4898  1 Re 2.00, 1 Er 2.22
O 0.7161 0.7534 0.9898  1 Re 2.00, 1 Er 2.22
O 0.7357 0.2260 0.9900  1 Re 1.99, 1 Er 2.23
O 0.7357 0.2740 0.4900  1 Re 1.99, 1 Er 2.23
O 0.7563 0.9997 0.2363  1 Re 2.00, 1 Er 2.23
O 0.7563 0.5003 0.7363  1 Re 2.00, 1 Er 2.23

Properties
Total magnetization ... 2.00 μB per formula unit
V ... 300.0 Å³ per cell
Energy of formation ... -3.058 eV per atom